The following is a r²SCAN calculation of an optimized crystal structure of Ba3Al2Si2, from Materials Project.

The value obtained for the calculated volume is 31.8 Å³ per atom. The symmetry is No. 71. For the total magnetic moment, the calculation gives 0.00 μB per cell. The value obtained for the calculated formation energy is -0.4129 eV/atom. The theoretical density comes out at 3.89 Mg/m³. As for the calculated total energy: -113.40 eV/f.u.

Structure (POSCAR):
```
Ba3Al2Si2
1.0
-3.165 2.519 -1.518
1.390 -1.170 -4.839
-5.353 -8.462 3.268
Ba Al Si
3 2 2
Direct
0.500 0.000 0.000
0.185 0.185 0.369
0.815 0.815 0.631
0.935 0.435 0.870
0.065 0.565 0.130
0.367 0.368 0.734
0.633 0.632 0.266
```